[1]
## RbMg14CoO16 (PBE with a Hubbard U)

Data for RbMg14CoO16 after structural relaxation.

abc: 8.7935 8.6585 4.3365
angles: 90.00 90.00 90.00
Fractional coordinates of all 32 atoms:
O 0.2474 0.7497 0.5000
O 0.7407 0.0000 0.0000
O 0.0000 0.2174 0.0000
O 0.0000 0.5000 0.5000
O 0.0000 0.0000 0.5000
O 0.7526 0.2503 0.5000
O 0.5000 0.0000 0.5000
O 0.2474 0.2503 0.5000
O 0.5000 0.2440 0.0000
O 0.2593 0.0000 0.0000
O 0.0000 0.7826 0.0000
O 0.7526 0.7497 0.5000
O 0.5000 0.5000 0.5000
O 0.7210 0.5000 0.0000
O 0.2790 0.5000 0.0000
O 0.5000 0.7560 0.0000
Mg 0.2570 0.2464 0.0000
Mg 0.2644 0.5000 0.5000
Mg 0.5000 0.7519 0.5000
Mg 0.7356 0.5000 0.5000
Mg 0.0000 0.2389 0.5000
Mg 0.7478 0.0000 0.5000
Mg 0.7430 0.7536 0.0000
Mg 0.7430 0.2464 0.0000
Mg 0.2522 0.0000 0.5000
Mg 0.0000 0.7611 0.5000
Mg 0.2570 0.7536 0.0000
Mg 0.5000 0.5000 0.0000
Mg 0.5000 0.0000 0.0000
Mg 0.5000 0.2481 0.5000
Co 0.0000 0.0000 0.0000
Rb 0.0000 0.5000 0.0000

[2]
## CsNiF3 (PBE with a Hubbard U)

Data for CsNiF3 after structural relaxation.

abc: 6.1092 6.1092 14.7155
angles: 90.00 90.00 120.00
Fractional coordinates of all 30 atoms:
Cs 0.3333 0.6667 0.0940
Cs 0.6667 0.3333 0.5940
Cs 0.0000 0.0000 0.7500
Cs 0.6667 0.3333 0.9060
Cs 0.3333 0.6667 0.4060
Cs 0.0000 0.0000 0.2500
Ni 0.3333 0.6667 0.8464
Ni 0.3333 0.6667 0.6536
Ni 0.6667 0.3333 0.3464
Ni 0.6667 0.3333 0.1536
Ni 0.0000 0.0000 0.0000
Ni 0.0000 0.0000 0.5000
F 0.5245 0.4755 0.2500
F 0.8344 0.1656 0.4209
F 0.9511 0.4755 0.2500
F 0.4755 0.9511 0.7500
F 0.5245 0.0489 0.2500
F 0.3312 0.1656 0.0791
F 0.4755 0.5245 0.7500
F 0.1656 0.8344 0.5791
F 0.8344 0.6688 0.4209
F 0.6688 0.8344 0.5791
F 0.1656 0.8344 0.9209
F 0.8344 0.6688 0.0791
F 0.0489 0.5245 0.7500
F 0.1656 0.3312 0.9209
F 0.3312 0.1656 0.4209
F 0.6688 0.8344 0.9209
F 0.8344 0.1656 0.0791
F 0.1656 0.3312 0.5791

[3]
## CrO2 (PBE with a Hubbard U)

Data for CrO2 after structural relaxation.

abc: 5.9436 5.9499 17.6747
angles: 59.62 59.74 60.00
Fractional coordinates of all 36 atoms:
O 0.2659 0.2620 0.9027
O 0.3149 0.7287 0.2421
O 0.2707 0.2745 0.7528
O 0.3054 0.7353 0.5752
O 0.2360 0.7088 0.1061
O 0.2456 0.7679 0.9062
O 0.7330 0.3064 0.5761
O 0.2696 0.2686 0.4221
O 0.7504 0.7510 0.0824
O 0.2356 0.2363 0.1065
O 0.2618 0.2609 0.2386
O 0.2702 0.6980 0.7535
O 0.7676 0.7682 0.9056
O 0.2678 0.2689 0.5652
O 0.7305 0.3127 0.2423
O 0.2712 0.6942 0.4214
O 0.7083 0.2362 0.1063
O 0.7342 0.7331 0.4329
O 0.7690 0.2465 0.9050
O 0.7307 0.7287 0.2423
O 0.6959 0.2677 0.4226
O 0.7344 0.7349 0.5754
O 0.6983 0.2733 0.7526
O 0.7173 0.7220 0.7800
Cr 0.0021 0.5015 0.4984
Cr 0.0176 0.4926 0.1657
Cr 0.5040 0.5012 0.3307
Cr 0.5014 0.5006 0.4987
Cr 0.5010 0.0023 0.4984
Cr 0.4922 0.0174 0.1659
Cr 0.4925 0.4923 0.1656
Cr 0.4980 0.0109 0.8310
Cr 0.0060 0.4951 0.8344
Cr 0.5019 0.5054 0.6640
Cr 0.8806 0.8780 0.9538
Cr 0.4968 0.4964 0.8326

[4]
## Eu2Fe2O5 (PBE with a Hubbard U)

Data for Eu2Fe2O5 after structural relaxation.

abc: 3.9612 3.9612 7.5014
angles: 90.00 90.00 90.00
Fractional coordinates of all 9 atoms:
O 0.5000 0.5000 0.5000
O 0.5000 0.0000 0.2114
O 0.0000 0.5000 0.7886
O 0.5000 0.0000 0.7886
O 0.0000 0.5000 0.2114
Eu 0.0000 0.0000 0.0000
Eu 0.0000 0.0000 0.5000
Fe 0.5000 0.5000 0.7598
Fe 0.5000 0.5000 0.2402

[5]
## Mn11Cu7O24 (PBE with a Hubbard U)

Data for Mn11Cu7O24 after structural relaxation.

abc: 6.0727 10.4324 8.3086
angles: 113.42 89.84 73.15
Fractional coordinates of all 42 atoms:
O 0.9174 0.1532 0.6894
O 0.2492 0.5135 0.8939
O 0.4294 0.1532 0.7138
O 0.4206 0.1812 0.2028
O 0.4394 0.6619 0.7176
O 0.3987 0.6619 0.1943
O 0.5656 0.3333 0.0538
O 0.9395 0.6651 0.1944
O 0.8982 0.1812 0.2284
O 0.7373 0.5135 0.8696
O 0.5840 0.8472 0.5612
O 0.7272 0.0048 0.8657
O 0.0514 0.3333 0.5366
O 0.8954 0.6651 0.7207
O 0.0688 0.8472 0.5359
O 0.2271 0.0016 0.3889
O 0.0978 0.8195 0.0474
O 0.2713 0.0016 0.8627
O 0.2685 0.4855 0.3549
O 0.5827 0.8195 0.0221
O 0.6011 0.3333 0.5296
O 0.7460 0.4855 0.3806
O 0.1153 0.3333 0.0468
O 0.7680 0.0048 0.3891
Mn 0.4176 0.6648 0.9574
Mn 0.4180 0.1678 0.9597
Mn 0.2525 0.4988 0.1252
Mn 0.7487 0.4988 0.6237
Mn 0.7491 0.0019 0.6259
Mn 0.9142 0.1678 0.4581
Mn 0.5833 0.3333 0.2917
Mn 0.5833 0.8333 0.7917
Mn 0.0833 0.8333 0.2917
Mn 0.9170 0.6661 0.9580
Mn 0.2497 0.0006 0.6253
Cu 0.0833 0.3333 0.2917
Cu 0.9991 0.0019 0.0012
Cu 0.8394 0.3333 0.9199
Cu 0.6677 0.6647 0.3326
Cu 0.4990 0.0019 0.2507
Cu 0.3272 0.3333 0.6634
Cu 0.1676 0.6647 0.5821

[6]
## Li2Ni3SnO8 (PBE with a Hubbard U)

Data for Li2Ni3SnO8 after structural relaxation.

abc: 5.9181 6.0597 8.1934
angles: 88.01 90.22 90.86
Fractional coordinates of all 28 atoms:
O 0.0079 0.0373 0.7525
O 0.7579 0.7541 0.4817
O 0.2773 0.7635 0.0194
O 0.7230 0.2370 0.9804
O 0.4756 0.0291 0.7680
O 0.4902 0.4629 0.7475
O 0.5081 0.5388 0.2525
O 0.2239 0.7367 0.4805
O 0.2420 0.2461 0.5182
O 0.9764 0.5277 0.2682
O 0.7760 0.2626 0.5194
O 0.5257 0.9722 0.2319
O 0.2566 0.2548 0.9819
O 0.0221 0.4710 0.7321
O 0.7435 0.7452 0.0183
O 0.9937 0.9611 0.2476
Li 0.9878 0.2429 0.1166
Li 0.0124 0.7569 0.8833
Li 0.5105 0.2568 0.3838
Li 0.4895 0.7434 0.6163
Ni 0.7510 0.7498 0.2499
Ni 0.5001 0.0002 0.0000
Ni 0.7489 0.2499 0.7498
Ni 0.9998 0.4998 0.5000
Ni 0.2490 0.2502 0.7502
Ni 0.2510 0.7501 0.2500
Sn 0.4999 0.5003 0.9996
Sn 0.0003 0.9996 0.5005

[7]
## MgMn2Fe2P4O16 (PBE with a Hubbard U)

Data for MgMn2Fe2P4O16 after structural relaxation.

abc: 10.0438 6.0008 5.0499
angles: 90.00 88.37 89.99
Fractional coordinates of all 25 atoms:
O 0.6729 0.0486 0.2152
O 0.8474 0.9552 0.7833
O 0.3746 0.7499 0.1918
O 0.3372 0.9507 0.7434
O 0.8650 0.7500 0.3365
O 0.6172 0.2500 0.7874
O 0.1651 0.0469 0.2709
O 0.0960 0.2500 0.7084
O 0.3371 0.5496 0.7431
O 0.9448 0.2499 0.3181
O 0.4497 0.2501 0.1759
O 0.5566 0.7500 0.8571
O 0.8474 0.5449 0.7834
O 0.0612 0.7500 0.6540
O 0.6730 0.4514 0.2152
O 0.1651 0.4528 0.2708
P 0.4019 0.7501 0.8862
P 0.0948 0.2499 0.4035
P 0.9101 0.7500 0.6219
P 0.5932 0.2500 0.0858
Fe 0.7547 0.2500 0.5135
Fe 0.7169 0.7500 0.0649
Mn 0.2871 0.2502 0.9378
Mn 0.2254 0.7501 0.4327
Mg 0.9304 0.2500 0.9291

[8]
## FeP4O11 (PBE with a Hubbard U)

Data for FeP4O11 after structural relaxation.

abc: 12.5195 8.3436 11.4190
angles: 48.82 90.00 90.00
Fractional coordinates of all 64 atoms:
P 0.0038 0.8422 0.8394
P 0.2878 0.5016 0.1007
P 0.3472 0.1503 0.1004
P 0.6528 0.8497 0.8996
P 0.8472 0.8497 0.3996
P 0.3347 0.8503 0.7666
P 0.1528 0.1503 0.6004
P 0.6653 0.1497 0.2334
P 0.9962 0.1578 0.1606
P 0.1653 0.8503 0.2666
P 0.2122 0.5016 0.6007
P 0.8347 0.1497 0.7334
P 0.7122 0.4984 0.8993
P 0.4962 0.8422 0.3394
P 0.7878 0.4984 0.3993
P 0.5038 0.1578 0.6606
O 0.2191 0.3322 0.5730
O 0.4864 0.2446 0.4994
O 0.1903 0.4691 0.1871
O 0.1024 0.5014 0.6507
O 0.5315 0.2869 0.7031
O 0.3977 0.7237 0.7453
O 0.7668 0.2774 0.5788
O 0.7191 0.6678 0.9270
O 0.9685 0.2869 0.2031
O 0.1008 0.0124 0.2675
O 0.2809 0.3322 0.0730
O 0.7548 0.0102 0.3654
O 0.3976 0.5014 0.1507
O 0.4685 0.7131 0.2969
O 0.5136 0.7554 0.5006
O 0.7332 0.2774 0.0788
O 0.3992 0.0124 0.7675
O 0.6008 0.9876 0.2325
O 0.8992 0.9876 0.7325
O 0.2452 0.9898 0.6346
O 0.4162 0.2135 0.9720
O 0.2668 0.7226 0.9212
O 0.0315 0.7131 0.7969
O 0.9162 0.7865 0.5280
O 0.3097 0.4691 0.6871
O 0.7809 0.6678 0.4270
O 0.8097 0.5309 0.8129
O 0.6023 0.2763 0.2547
O 0.4054 0.0329 0.2618
O 0.5838 0.7865 0.0280
O 0.7452 0.0102 0.8654
O 0.9864 0.7554 0.0006
O 0.8976 0.4986 0.3493
O 0.5946 0.9671 0.7382
O 0.0136 0.2446 0.9994
O 0.0946 0.0329 0.7618
O 0.9054 0.9671 0.2382
O 0.2332 0.7226 0.4212
O 0.8977 0.2763 0.7547
O 0.0838 0.2135 0.4720
O 0.1023 0.7237 0.2453
O 0.6024 0.4986 0.8493
O 0.2548 0.9898 0.1346
O 0.6903 0.5309 0.3129
Fe 0.4694 0.4928 0.7370
Fe 0.0306 0.4928 0.2370
Fe 0.9694 0.5072 0.7630
Fe 0.5306 0.5072 0.2630

[9]
## Al2FeO4 (PBE with a Hubbard U)

Data for Al2FeO4 after structural relaxation.

abc: 5.8168 5.8215 17.5296
angles: 60.02 60.05 60.13
Fractional coordinates of all 42 atoms:
Fe 0.1271 0.1252 0.7073
Fe 0.8712 0.8724 0.6265
Fe 0.4983 0.4972 0.0025
Fe 0.8793 0.8791 0.2875
Fe 0.1210 0.1233 0.3773
Fe 0.1281 0.1273 0.0427
Al 0.5016 0.5015 0.6646
Al 0.5004 0.4980 0.8319
Al 0.5017 0.0051 0.8315
Al 0.4977 0.4967 0.1679
Al 0.9996 0.5022 0.4985
Al 0.0031 0.4955 0.1695
Al 0.4970 0.0024 0.1691
Al 0.4976 0.5013 0.4994
Al 0.0072 0.4990 0.8317
Al 0.4982 0.0021 0.4991
Al 0.4991 0.4991 0.3335
Al 0.8786 0.8773 0.9554
O 0.3038 0.7318 0.2444
O 0.2637 0.2613 0.2386
O 0.7319 0.7294 0.7700
O 0.6997 0.2662 0.4229
O 0.7326 0.7356 0.4313
O 0.7591 0.2625 0.9069
O 0.7492 0.7491 0.0840
O 0.2695 0.2669 0.7536
O 0.7322 0.7310 0.2452
O 0.7358 0.7378 0.5767
O 0.7326 0.2956 0.5781
O 0.7040 0.2704 0.7524
O 0.2654 0.7023 0.4215
O 0.2476 0.7084 0.0983
O 0.2628 0.2659 0.4228
O 0.2713 0.7022 0.7532
O 0.7102 0.2458 0.0991
O 0.7623 0.7618 0.9050
O 0.2435 0.2437 0.1019
O 0.2929 0.7341 0.5786
O 0.2611 0.2672 0.5678
O 0.2667 0.2633 0.9010
O 0.7322 0.3034 0.2447
O 0.2631 0.7595 0.9062

[10]
## Mo2P2PbO12 (PBE with a Hubbard U)

Data for Mo2P2PbO12 after structural relaxation.

abc: 12.5809 6.4346 12.0710
angles: 88.32 90.00 90.00
Fractional coordinates of all 68 atoms:
O 0.6172 0.5535 0.4319
O 0.8572 0.9332 0.9137
O 0.6428 0.9332 0.4137
O 0.1172 0.4465 0.0681
O 0.7750 0.2679 0.7996
O 0.2750 0.7321 0.7004
O 0.5640 0.2381 0.9281
O 0.0463 0.7942 0.9388
O 0.2575 0.2443 0.8468
O 0.2551 0.7633 0.9755
O 0.3828 0.4465 0.5681
O 0.0421 0.2510 0.2391
O 0.6350 0.7812 0.9555
O 0.1428 0.0668 0.0863
O 0.5463 0.2058 0.5612
O 0.0096 0.7640 0.1690
O 0.9360 0.2381 0.4281
O 0.4127 0.9410 0.8827
O 0.8828 0.5535 0.9319
O 0.0640 0.7619 0.5719
O 0.5421 0.7490 0.2609
O 0.2250 0.7321 0.2004
O 0.3650 0.2188 0.0445
O 0.2449 0.7633 0.4755
O 0.5096 0.2360 0.3310
O 0.3572 0.0668 0.5863
O 0.1350 0.2188 0.5445
O 0.7575 0.7557 0.6532
O 0.7551 0.2367 0.5245
O 0.9127 0.0590 0.6173
O 0.4082 0.5560 0.8982
O 0.8650 0.7812 0.4555
O 0.7425 0.7557 0.1532
O 0.5918 0.4440 0.1018
O 0.4537 0.7942 0.4388
O 0.0873 0.9410 0.3827
O 0.4579 0.2510 0.7391
O 0.9082 0.4440 0.6018
O 0.2425 0.2443 0.3468
O 0.5873 0.0590 0.1173
O 0.9537 0.2058 0.0612
O 0.7449 0.2367 0.0245
O 0.4904 0.7640 0.6690
O 0.9579 0.7490 0.7609
O 0.7250 0.2679 0.2997
O 0.0918 0.5560 0.3982
O 0.9904 0.2360 0.8310
O 0.4360 0.7619 0.0719
P 0.8755 0.2442 0.5398
P 0.5636 0.7558 0.3877
P 0.1245 0.7558 0.4602
P 0.4364 0.2442 0.6123
P 0.9364 0.7558 0.8877
P 0.0636 0.2442 0.1123
P 0.3755 0.7558 0.9602
P 0.6245 0.2442 0.0398
Pb 0.1228 0.9902 0.7317
Pb 0.8772 0.0098 0.2683
Pb 0.3772 0.9902 0.2317
Pb 0.6228 0.0098 0.7683
Mo 0.1288 0.7511 0.0955
Mo 0.8712 0.2489 0.9045
Mo 0.3712 0.7511 0.5955
Mo 0.8848 0.7473 0.5981
Mo 0.1152 0.2527 0.4019
Mo 0.6288 0.2489 0.4045
Mo 0.6152 0.7473 0.0981
Mo 0.3848 0.2527 0.9019

no.,calculated formation energy (eV per atom),VASP energy (eV/cell)
1,-2.68,-182.871
2,-2.58,-128.306
3,-1.86,-261.165
4,-2.37,-75.540
5,-1.61,-281.132
6,-1.46,-144.221
7,-2.45,-180.107
8,-2.48,-457.494
9,-2.89,-305.830
10,-2.25,-476.728